No. 1
A plane-wave DFT calculation with PBE-GGA was carried out for crystalline Mg6NiBi at its relaxed geometry.

Results
distance to the lowest polymorph of the same formula: 14.4 meV per atom
total DFT energy (no corrections): -38.228 eV per cell
mass density: 4.066 Mg/m³
calculated formation energy: 1.90 kJ/mol of atoms

a = 4.8606 Å, b = 6.4705 Å, c = 10.7400 Å
α = 90.00°, β = 90.00°, γ = 90.00°
Closest atoms and distances in Å follow each position.
Positions (direct):
Mg1 0.5000 0.7469 0.0858  8 Mg 3.04-3.28, 2 Ni 3.11-3.16, 2 Bi 3.13-3.14
Mg2 0.0000 0.2764 0.4125  5 Mg 2.89-3.07, 2 Ni 2.95, 2 Bi 3.13
Mg3 0.5000 0.7531 0.5858  8 Mg 3.04-3.28, 2 Ni 3.11-3.16, 2 Bi 3.13-3.14
Mg4 0.0000 0.2236 0.9125  5 Mg 2.89-3.07, 2 Ni 2.95, 2 Bi 3.13
Mg5 0.0000 0.0000 0.6748  8 Mg 2.93-3.24, 2 Ni 2.97
Mg6 0.5000 0.2469 0.5858  8 Mg 3.04-3.28, 2 Ni 3.11-3.16, 2 Bi 3.13-3.14
Mg7 0.0000 0.7236 0.4125  5 Mg 2.89-3.07, 2 Ni 2.95, 2 Bi 3.13
Mg8 0.0000 0.5000 0.1748  8 Mg 2.93-3.24, 2 Ni 2.97
Mg9 0.0000 0.5000 0.6594  10 Mg 3.02-3.25, 2 Bi 3.08
Mg10 0.0000 0.7764 0.9125  5 Mg 2.89-3.07, 2 Ni 2.95, 2 Bi 3.13
Mg11 0.0000 0.0000 0.1594  10 Mg 3.02-3.25, 2 Bi 3.08
Mg12 0.5000 0.2531 0.0858  8 Mg 3.04-3.28, 2 Ni 3.11-3.16, 2 Bi 3.13-3.14
Bi1 0.5000 0.5000 0.8349  10 Mg 3.08-3.14, 2 Ni 3.24
Bi2 0.5000 0.0000 0.3349  10 Mg 3.08-3.14, 2 Ni 3.24
Ni1 0.5000 0.5000 0.3343  10 Mg 2.95-3.16, 2 Bi 3.24
Ni2 0.5000 0.0000 0.8343  10 Mg 2.95-3.16, 2 Bi 3.24

=====

No. 2
A plane-wave DFT calculation with PBE-GGA was carried out for crystalline Mg14NiBi at its relaxed geometry.

Results
total DFT energy (no corrections): -31.994 eV per cell
mass density: 2.866 Mg/m³
crystal system: hexagonal
calculated formation energy: 0.48 kJ/mol of atoms

a = 6.2769 Å, b = 6.2769 Å, c = 10.3216 Å
α = 90.00°, β = 90.00°, γ = 120.00°
Closest atoms and distances in Å follow each position.
Positions (direct):
Mg1 0.0000 0.0000 0.2496  12 Mg 3.13-3.16
Mg2 0.0000 0.0000 0.7504  12 Mg 3.13-3.16
Mg3 0.0063 0.5032 0.2301  1 Ni 2.97, 8 Mg 3.01-3.20, 1 Bi 3.30
Mg4 0.0063 0.5032 0.7699  1 Ni 2.97, 8 Mg 3.01-3.20, 1 Bi 3.30
Mg5 0.3271 0.1635 0.0000  10 Mg 3.01-3.20, 2 Ni 3.14
Mg6 0.3337 0.1669 0.5000  10 Mg 3.13-3.33, 2 Bi 3.14
Mg7 0.4968 0.5032 0.2301  1 Ni 2.97, 8 Mg 3.01-3.20, 1 Bi 3.30
Mg8 0.4968 0.5032 0.7699  1 Ni 2.97, 8 Mg 3.01-3.20, 1 Bi 3.30
Mg9 0.4968 0.9937 0.2301  1 Ni 2.97, 8 Mg 3.01-3.20, 1 Bi 3.30
Mg10 0.4968 0.9937 0.7699  1 Ni 2.97, 8 Mg 3.01-3.20, 1 Bi 3.30
Mg11 0.8331 0.1669 0.5000  10 Mg 3.13-3.33, 2 Bi 3.14
Mg12 0.8331 0.6663 0.5000  10 Mg 3.13-3.33, 2 Bi 3.14
Mg13 0.8365 0.1635 0.0000  10 Mg 3.01-3.20, 2 Ni 3.14
Mg14 0.8365 0.6729 0.0000  10 Mg 3.01-3.20, 2 Ni 3.14
Ni1 0.3333 0.6667 0.0000  12 Mg 2.97-3.14
Bi1 0.3333 0.6667 0.5000  12 Mg 3.14-3.30

=====

No. 3
A plane-wave DFT calculation with PBE-GGA was carried out for crystalline Mg14NiBi at its relaxed geometry.

Results
total DFT energy (no corrections): -32.000 eV per cell
mass density: 2.869 Mg/m³
crystal system: orthorhombic
calculated formation energy: 0.45 kJ/mol of atoms

a = 10.2780 Å, b = 6.2707 Å, c = 6.2707 Å
α = 60.52°, β = 90.00°, γ = 90.00°
Closest atoms and distances in Å follow each position.
Positions (direct):
Mg1 0.0000 0.0000 0.0000  12 Mg 3.13-3.19
Mg2 0.0000 0.0024 0.4993  12 Mg 3.08-3.24
Mg3 0.0000 0.4993 0.0024  12 Mg 3.08-3.24
Mg4 0.0000 0.4994 0.4994  12 Mg 3.10-3.23
Mg5 0.2422 0.6696 0.6696  11 Mg 3.08-3.20, 1 Bi 3.21
Mg6 0.2565 0.1577 0.6789  10 Mg 3.03-3.29, 1 Ni 3.06, 1 Bi 3.13
Mg7 0.2565 0.6789 0.1577  10 Mg 3.03-3.29, 1 Ni 3.06, 1 Bi 3.13
Mg8 0.2592 0.1624 0.1624  1 Ni 3.03, 11 Mg 3.05-3.24
Mg9 0.5000 0.5001 0.9981  8 Mg 3.09-3.20, 2 Bi 3.10-3.17, 2 Ni 3.12-3.15
Mg10 0.5000 0.9981 0.5001  8 Mg 3.09-3.20, 2 Bi 3.10-3.17, 2 Ni 3.12-3.15
Mg11 0.7408 0.1624 0.1624  1 Ni 3.03, 11 Mg 3.05-3.24
Mg12 0.7435 0.1577 0.6789  10 Mg 3.03-3.29, 1 Ni 3.06, 1 Bi 3.13
Mg13 0.7435 0.6789 0.1577  10 Mg 3.03-3.29, 1 Ni 3.06, 1 Bi 3.13
Mg14 0.7578 0.6696 0.6696  11 Mg 3.08-3.20, 1 Bi 3.21
Ni1 0.5000 0.0007 0.0007  10 Mg 3.03-3.15, 2 Bi 3.16
Bi1 0.5000 0.5029 0.5029  10 Mg 3.10-3.21, 2 Ni 3.16

=====

No. 4
A plane-wave DFT calculation with PBE-GGA was carried out for crystalline MgBi2O5 at its relaxed geometry.

Results
distance to the lowest polymorph of the same formula: 0.0 meV per atom
total DFT energy (no corrections): -363.176 eV per cell
mass density: 7.579 Mg/m³
crystal system: orthorhombic
calculated formation energy: -177.43 kJ/mol of atoms

a = 5.4014 Å, b = 16.1399 Å, c = 10.4998 Å
α = 90.00°, β = 90.00°, γ = 90.00°
Closest atoms and distances in Å follow each position.
Positions (direct):
Mg1 0.0124 0.0833 0.1492  6 O 2.08-2.30
Mg2 0.0124 0.4167 0.6492  6 O 2.08-2.30
Mg3 0.4876 0.5833 0.1492  6 O 2.08-2.30
Mg4 0.4876 0.9167 0.6492  6 O 2.08-2.30
Mg5 0.5124 0.0833 0.3508  6 O 2.08-2.30
Mg6 0.5124 0.4167 0.8508  6 O 2.08-2.30
Mg7 0.9876 0.5833 0.3508  6 O 2.08-2.30
Mg8 0.9876 0.9167 0.8508  6 O 2.08-2.30
Bi1 0.0466 0.7434 0.1390  4 O 2.18-2.39
Bi2 0.0466 0.7566 0.6390  4 O 2.18-2.39
Bi3 0.0610 0.5670 0.8828  6 O 2.11-2.23
Bi4 0.0610 0.9330 0.3828  6 O 2.11-2.23
Bi5 0.4390 0.0670 0.8828  6 O 2.11-2.23
Bi6 0.4390 0.4330 0.3828  6 O 2.11-2.23
Bi7 0.4534 0.2434 0.1390  4 O 2.18-2.39
Bi8 0.4534 0.2566 0.6390  4 O 2.18-2.39
Bi9 0.5466 0.7434 0.3610  4 O 2.18-2.39
Bi10 0.5466 0.7566 0.8610  4 O 2.18-2.39
Bi11 0.5610 0.5670 0.6172  6 O 2.11-2.23
Bi12 0.5610 0.9330 0.1172  6 O 2.11-2.23
Bi13 0.9390 0.0670 0.6172  6 O 2.11-2.23
Bi14 0.9390 0.4330 0.1172  6 O 2.11-2.23
Bi15 0.9534 0.2434 0.3610  4 O 2.18-2.39
Bi16 0.9534 0.2566 0.8610  4 O 2.18-2.39
O1 0.0941 0.1780 0.6929  3 Bi 2.13-2.39
O2 0.0941 0.3220 0.1929  3 Bi 2.13-2.39
O3 0.2006 0.0035 0.7400  2 Mg 2.15-2.30, 2 Bi 2.17-2.23
O4 0.2006 0.4965 0.2400  2 Mg 2.15-2.30, 2 Bi 2.17-2.23
O5 0.2155 0.1388 0.0046  1 Mg 2.08, 1 Bi 2.11
O6 0.2155 0.3612 0.5046  1 Mg 2.08, 1 Bi 2.11
O7 0.2196 0.0424 0.4762  2 Bi 2.16-2.19, 1 Mg 2.16
O8 0.2196 0.4576 0.9762  2 Bi 2.16-2.19, 1 Mg 2.16
O9 0.2482 0.6659 0.2744  2 Mg 2.10-2.28, 2 Bi 2.18-2.23
O10 0.2482 0.8341 0.7744  2 Mg 2.10-2.28, 2 Bi 2.18-2.23
O11 0.2518 0.1659 0.2744  2 Mg 2.10-2.28, 2 Bi 2.18-2.23
O12 0.2518 0.3341 0.7744  2 Mg 2.10-2.28, 2 Bi 2.18-2.23
O13 0.2804 0.5424 0.4762  2 Bi 2.16-2.19, 1 Mg 2.16
O14 0.2804 0.9576 0.9762  2 Bi 2.16-2.19, 1 Mg 2.16
O15 0.2845 0.6388 0.0046  1 Mg 2.08, 1 Bi 2.11
O16 0.2845 0.8612 0.5046  1 Mg 2.08, 1 Bi 2.11
O17 0.2994 0.5035 0.7400  2 Mg 2.15-2.30, 2 Bi 2.17-2.23
O18 0.2994 0.9965 0.2400  2 Mg 2.15-2.30, 2 Bi 2.17-2.23
O19 0.4059 0.6780 0.6929  3 Bi 2.13-2.39
O20 0.4059 0.8220 0.1929  3 Bi 2.13-2.39
O21 0.5941 0.1780 0.8071  3 Bi 2.13-2.39
O22 0.5941 0.3220 0.3071  3 Bi 2.13-2.39
O23 0.7006 0.0035 0.7600  2 Mg 2.15-2.30, 2 Bi 2.17-2.23
O24 0.7006 0.4965 0.2600  2 Mg 2.15-2.30, 2 Bi 2.17-2.23
O25 0.7155 0.1388 0.4954  1 Mg 2.08, 1 Bi 2.11
O26 0.7155 0.3612 0.9954  1 Mg 2.08, 1 Bi 2.11
O27 0.7196 0.0424 0.0238  2 Bi 2.16-2.19, 1 Mg 2.16
O28 0.7196 0.4576 0.5238  2 Bi 2.16-2.19, 1 Mg 2.16
O29 0.7482 0.6659 0.2256  2 Mg 2.10-2.28, 2 Bi 2.18-2.23
O30 0.7482 0.8341 0.7256  2 Mg 2.10-2.28, 2 Bi 2.18-2.23
O31 0.7518 0.1659 0.2256  2 Mg 2.10-2.28, 2 Bi 2.18-2.23
O32 0.7518 0.3341 0.7256  2 Mg 2.10-2.28, 2 Bi 2.18-2.23
O33 0.7804 0.5424 0.0238  2 Bi 2.16-2.19, 1 Mg 2.16
O34 0.7804 0.9576 0.5238  2 Bi 2.16-2.19, 1 Mg 2.16
O35 0.7845 0.6388 0.4954  1 Mg 2.08, 1 Bi 2.11
O36 0.7845 0.8612 0.9954  1 Mg 2.08, 1 Bi 2.11
O37 0.7994 0.5035 0.7600  2 Mg 2.15-2.30, 2 Bi 2.17-2.23
O38 0.7994 0.9965 0.2600  2 Mg 2.15-2.30, 2 Bi 2.17-2.23
O39 0.9059 0.6780 0.8071  3 Bi 2.13-2.39
O40 0.9059 0.8220 0.3071  3 Bi 2.13-2.39

=====

No. 5
A plane-wave DFT calculation with PBE-GGA was carried out for crystalline MgBi2O5 at its relaxed geometry.

Results
distance to the lowest polymorph of the same formula: 35.0 meV per atom
total DFT energy (no corrections): -90.234 eV per cell
mass density: 6.699 Mg/m³
crystal system: orthorhombic
calculated formation energy: -174.06 kJ/mol of atoms

a = 5.8882 Å, b = 5.8882 Å, c = 10.9608 Å
α = 90.00°, β = 90.00°, γ = 137.06°
Closest atoms and distances in Å follow each position.
Positions (direct):
Mg1 0.1858 0.8142 0.7500  6 O 2.06-2.30
Mg2 0.8142 0.1858 0.2500  6 O 2.06-2.30
Bi1 0.1388 0.8612 0.0704  5 O 2.18-2.27
Bi2 0.1388 0.8612 0.4296  5 O 2.18-2.27
Bi3 0.8612 0.1388 0.5704  5 O 2.18-2.27
Bi4 0.8612 0.1388 0.9296  5 O 2.18-2.27
O1 0.0547 0.9453 0.6148  1 Mg 2.06, 2 Bi 2.18-2.23
O2 0.0547 0.9453 0.8852  1 Mg 2.06, 2 Bi 2.18-2.23
O3 0.2419 0.7581 0.2500  2 Bi 2.27, 2 Mg 2.30
O4 0.3048 0.6952 0.5805  3 Bi 2.25-2.46, 1 Mg 2.27
O5 0.3048 0.6952 0.9195  3 Bi 2.25-2.46, 1 Mg 2.27
O6 0.6952 0.3048 0.0805  3 Bi 2.25-2.46, 1 Mg 2.27
O7 0.6952 0.3048 0.4195  3 Bi 2.25-2.46, 1 Mg 2.27
O8 0.7581 0.2419 0.7500  2 Bi 2.27, 2 Mg 2.30
O9 0.9453 0.0547 0.1148  1 Mg 2.06, 2 Bi 2.18-2.23
O10 0.9453 0.0547 0.3852  1 Mg 2.06, 2 Bi 2.18-2.23

=====

No. 6
A plane-wave DFT calculation with PBE-GGA was carried out for crystalline MgBiO3 at its relaxed geometry.

Results
total DFT energy (no corrections): -26.514 eV per cell
mass density: 7.662 Mg/m³
crystal system: cubic
calculated formation energy: -159.03 kJ/mol of atoms

a = 3.9356 Å, b = 3.9356 Å, c = 3.9356 Å
α = 90.00°, β = 90.00°, γ = 90.00°
Closest atoms and distances in Å follow each position.
Positions (direct):
Mg1 0.0000 0.0000 0.0000  6 O 1.97
Bi1 0.5000 0.5000 0.5000  12 O 2.78
O1 0.0000 0.0000 0.5000  2 Mg 1.97
O2 0.0000 0.5000 0.0000  2 Mg 1.97
O3 0.5000 0.0000 0.0000  2 Mg 1.97